[1]
DFT (GGA-PBE) results for Ag2O after structural relaxation.

Values from the calculation:
Formation energy from the elements in meV per atom: -323
Total energy in eV/cell: -21.8

abc: 4.8408 4.8408 4.8408
angles: 90.00 90.00 90.00
Closest atoms and distances in Å follow each position.
Positions (direct):
Ag  0.7500  0.2500  0.2500  2 O 2.10
Ag  0.2500  0.7500  0.2500  2 O 2.10
Ag  0.2500  0.2500  0.7500  2 O 2.10
Ag  0.7500  0.7500  0.7500  2 O 2.10
O  0.5000  0.5000  0.5000  4 Ag 2.10
O  0.0000  0.0000  0.0000  4 Ag 2.10

[2]
DFT (GGA-PBE) results for ZrSi after structural relaxation.

Values from the calculation:
Formation energy from the elements in meV per atom: -898
Total energy in eV/cell: -63.4

abc: 3.8033 5.3281 7.0301
angles: 90.00 90.00 90.00
Closest atoms and distances in Å follow each position.
Positions (direct):
Zr  0.2500  0.1247  0.1756  7 Si 2.74-2.94
Zr  0.7500  0.6247  0.3244  7 Si 2.74-2.94
Zr  0.2500  0.3753  0.6756  7 Si 2.74-2.94
Zr  0.7500  0.8753  0.8244  7 Si 2.74-2.94
Si  0.2500  0.6382  0.0433  2 Si 2.48, 5 Zr 2.74-2.75
Si  0.2500  0.8618  0.5433  2 Si 2.48, 5 Zr 2.74-2.75
Si  0.7500  0.3618  0.9567  2 Si 2.48, 5 Zr 2.74-2.75
Si  0.7500  0.1382  0.4567  2 Si 2.48, 5 Zr 2.74-2.75